# 1
This record from the Materials Project describes NaVO2 after structural relaxation. The functional is PBE+U.

## Properties
For the raw total energy, the calculation gives -106.444 eV for the cell shown. The formation energy comes out at -2.35 eV per atom.

Lattice parameters (Å, degrees): 5.2816 6.1674 5.6852 90.00 107.38 90.00
Sites, in units of the cell vectors:
1 O 0.7642 0.2499 0.7987
2 O 0.2359 0.2499 0.2013
3 O 0.2642 0.5001 0.7987
4 O 0.2358 0.7499 0.2013
5 O 0.7359 0.5001 0.2013
6 O 0.7641 0.7499 0.7987
7 O 0.7358 0.0001 0.2013
8 O 0.2641 0.0001 0.7987
9 Na 0.5000 0.0000 0.5000
10 Na 0.0000 0.2500 0.5000
11 Na 0.5000 0.5000 0.5000
12 Na 0.0000 0.7500 0.5000
13 V 0.5000 0.7499 0.0000
14 V 0.5000 0.2499 0.0000
15 V 0.0000 0.0001 0.0000
16 V 0.0000 0.5001 0.0000

=====

# 2
This record from the Materials Project describes Li2MnH4S2O10 after structural relaxation. The functional is PBE+U.

## Properties
For the total magnetic moment, the calculation gives 10.00 μB/cell. As for the distance to the lowest polymorph of the same formula: 23 meV per atom. For the raw total energy, the calculation gives -221.912 eV for the cell shown. The formation energy comes out at -1.85 eV per atom.

Lattice parameters (Å, degrees): 5.6796 7.4327 10.5101 101.09 99.25 110.12
Sites, in units of the cell vectors:
1 Li 0.1535 0.2305 0.3763
2 Li 0.1882 0.2684 0.9147
3 Li 0.8118 0.7316 0.0853
4 Li 0.8465 0.7695 0.6237
5 Mn 0.4936 0.9721 0.2481
6 Mn 0.5064 0.0279 0.7519
7 H 0.3275 0.3143 0.7009
8 H 0.3838 0.6282 0.6280
9 H 0.4077 0.5835 0.1852
10 H 0.4885 0.6878 0.7849
11 H 0.5115 0.3122 0.2151
12 H 0.5923 0.4165 0.8148
13 H 0.6162 0.3718 0.3720
14 H 0.6725 0.6857 0.2991
15 S 0.1441 0.7724 0.4352
16 S 0.1529 0.7622 0.9260
17 S 0.8471 0.2378 0.0740
18 S 0.8559 0.2276 0.5648
19 O 0.1147 0.3853 0.0985
20 O 0.1353 0.3453 0.5737
21 O 0.1533 0.8712 0.3223
22 O 0.1634 0.8838 0.8256
23 O 0.2096 0.8964 0.0637
24 O 0.2363 0.9319 0.5647
25 O 0.2974 0.6499 0.4303
26 O 0.3451 0.6692 0.9198
27 O 0.4223 0.3026 0.7867
28 O 0.4678 0.2775 0.2979
29 O 0.5322 0.7225 0.7021
30 O 0.5777 0.6974 0.2133
31 O 0.6549 0.3308 0.0802
32 O 0.7026 0.3501 0.5697
33 O 0.7637 0.0681 0.4353
34 O 0.7904 0.1036 0.9363
35 O 0.8366 0.1162 0.1744
36 O 0.8467 0.1288 0.6777
37 O 0.8647 0.6547 0.4263
38 O 0.8853 0.6147 0.9015

=====

# 3
This record from the Materials Project describes Li3Mn2O5 after structural relaxation. The functional is PBE+U.

## Properties
For the total magnetic moment, the calculation gives 0.00 μB/cell. As for the distance to the lowest polymorph of the same formula: 32 meV per atom. For the raw total energy, the calculation gives -126.397 eV for the cell shown. The formation energy comes out at -2.12 eV per atom.

Lattice parameters (Å, degrees): 12.2481 12.2481 5.2065 91.54 91.54 13.51
Sites, in units of the cell vectors:
1 Li 0.0000 0.0000 0.0000
2 Li 0.0953 0.0953 0.7028
3 Li 0.3008 0.3008 0.1039
4 Li 0.5000 0.5000 0.5000
5 Li 0.6992 0.6992 0.8961
6 Li 0.9047 0.9047 0.2972
7 Mn 0.1992 0.1992 0.3869
8 Mn 0.4047 0.4047 0.8245
9 Mn 0.5953 0.5953 0.1755
10 Mn 0.8008 0.8008 0.6131
11 O 0.0553 0.0553 0.3358
12 O 0.1429 0.1429 0.0489
13 O 0.2541 0.2541 0.7464
14 O 0.3483 0.3483 0.4938
15 O 0.4459 0.4459 0.1200
16 O 0.5541 0.5541 0.8800
17 O 0.6517 0.6517 0.5062
18 O 0.7459 0.7459 0.2536
19 O 0.8571 0.8571 0.9511
20 O 0.9447 0.9447 0.6642

=====

# 4
This record from the Materials Project describes NaMn3P3H2O12 after structural relaxation. The functional is PBE+U.

## Properties
For the total magnetic moment, the calculation gives 10.00 μB/cell. For the raw total energy, the calculation gives -296.776 eV for the cell shown. The formation energy comes out at -2.40 eV per atom.

Lattice parameters (Å, degrees): 8.7810 8.7810 6.7482 106.96 106.96 91.12
Sites, in units of the cell vectors:
1 Na 0.0231 0.9769 0.7500
2 Na 0.9769 0.0231 0.2500
3 Mn 0.0505 0.3733 0.6280
4 Mn 0.2831 0.7169 0.2500
5 Mn 0.3733 0.0505 0.1280
6 Mn 0.6267 0.9495 0.8720
7 Mn 0.7169 0.2831 0.7500
8 Mn 0.9496 0.6267 0.3720
9 P 0.1035 0.3232 0.1114
10 P 0.3214 0.6786 0.7500
11 P 0.3232 0.1035 0.6114
12 P 0.6768 0.8965 0.3886
13 P 0.6786 0.3214 0.2500
14 P 0.8965 0.6768 0.8886
15 H 0.3707 0.3817 0.1885
16 H 0.3817 0.3707 0.6885
17 H 0.6183 0.6293 0.3115
18 H 0.6293 0.6183 0.8115
19 O 0.0173 0.6768 0.1079
20 O 0.0363 0.3906 0.3012
21 O 0.1481 0.1524 0.0973
22 O 0.1524 0.1481 0.5973
23 O 0.2133 0.7138 0.5423
24 O 0.2627 0.4378 0.1530
25 O 0.2862 0.7867 0.9577
26 O 0.2891 0.4998 0.7350
27 O 0.3232 0.9827 0.3921
28 O 0.3906 0.0363 0.8012
29 O 0.4378 0.2627 0.6530
30 O 0.4998 0.2891 0.2350
31 O 0.5002 0.7109 0.7650
32 O 0.5622 0.7373 0.3470
33 O 0.6094 0.9637 0.1988
34 O 0.6768 0.0173 0.6079
35 O 0.7109 0.5002 0.2650
36 O 0.7138 0.2133 0.0423
37 O 0.7373 0.5622 0.8470
38 O 0.7867 0.2862 0.4577
39 O 0.8476 0.8519 0.4027
40 O 0.8519 0.8476 0.9027
41 O 0.9637 0.6094 0.6988
42 O 0.9827 0.3232 0.8921

=====

# 5
This record from the Materials Project describes CsFe5Mo7O28 after structural relaxation. The functional is PBE+U.

## Properties
For the total magnetic moment, the calculation gives 46.05 μB/cell. For the raw total energy, the calculation gives -566.775 eV for the cell shown. The formation energy comes out at -1.92 eV per atom.

Lattice parameters (Å, degrees): 7.0607 21.8349 8.8202 90.00 101.93 90.00
Sites, in units of the cell vectors:
1 Cs 0.0052 0.2500 0.0312
2 Cs 0.9948 0.7500 0.9688
3 Fe 0.1480 0.5986 0.6586
4 Fe 0.1480 0.9014 0.6586
5 Fe 0.4546 0.2500 0.6888
6 Fe 0.4749 0.0024 0.8113
7 Fe 0.4749 0.4976 0.8113
8 Fe 0.5251 0.5024 0.1887
9 Fe 0.5251 0.9976 0.1887
10 Fe 0.5454 0.7500 0.3112
11 Fe 0.8520 0.0986 0.3414
12 Fe 0.8520 0.4014 0.3414
13 Mo 0.0290 0.5423 0.2485
14 Mo 0.0290 0.9577 0.2485
15 Mo 0.0856 0.7500 0.4367
16 Mo 0.3814 0.1084 0.4498
17 Mo 0.3814 0.3916 0.4498
18 Mo 0.4873 0.6424 0.9697
19 Mo 0.4873 0.8576 0.9697
20 Mo 0.5127 0.1424 0.0303
21 Mo 0.5127 0.3576 0.0303
22 Mo 0.6186 0.6084 0.5502
23 Mo 0.6186 0.8916 0.5502
24 Mo 0.9144 0.2500 0.5633
25 Mo 0.9710 0.0423 0.7515
26 Mo 0.9710 0.4577 0.7515
27 O 0.0565 0.1093 0.8473
28 O 0.0565 0.3907 0.8473
29 O 0.1053 0.5599 0.4520
30 O 0.1053 0.9401 0.4520
31 O 0.1278 0.6829 0.5555
32 O 0.1278 0.8171 0.5555
33 O 0.1351 0.0991 0.3451
34 O 0.1351 0.4009 0.3451
35 O 0.1604 0.2500 0.6732
36 O 0.1686 0.5168 0.7747
37 O 0.1686 0.9832 0.7747
38 O 0.2357 0.5168 0.1783
39 O 0.2357 0.9832 0.1783
40 O 0.2391 0.6451 0.8574
41 O 0.2391 0.8549 0.8574
42 O 0.2508 0.7500 0.3061
43 O 0.3605 0.1748 0.1409
44 O 0.3605 0.3252 0.1409
45 O 0.4083 0.0622 0.6163
46 O 0.4083 0.4378 0.6163
47 O 0.4265 0.1853 0.5174
48 O 0.4265 0.3147 0.5174
49 O 0.4438 0.5801 0.6643
50 O 0.4438 0.9199 0.6643
51 O 0.4566 0.0615 0.9942
52 O 0.4566 0.4385 0.9942
53 O 0.4981 0.1853 0.8525
54 O 0.4981 0.3147 0.8525
55 O 0.5019 0.6853 0.1475
56 O 0.5019 0.8147 0.1475
57 O 0.5434 0.5615 0.0058
58 O 0.5434 0.9385 0.0058
59 O 0.5562 0.0801 0.3357
60 O 0.5562 0.4199 0.3357
61 O 0.5735 0.6853 0.4826
62 O 0.5735 0.8147 0.4826
63 O 0.5917 0.5622 0.3837
64 O 0.5917 0.9378 0.3837
65 O 0.6395 0.6748 0.8591
66 O 0.6395 0.8252 0.8591
67 O 0.7492 0.2500 0.6939
68 O 0.7609 0.1451 0.1426
69 O 0.7609 0.3549 0.1426
70 O 0.7643 0.0168 0.8217
71 O 0.7643 0.4832 0.8217
72 O 0.8314 0.0168 0.2253
73 O 0.8314 0.4832 0.2253
74 O 0.8396 0.7500 0.3268
75 O 0.8649 0.5991 0.6549
76 O 0.8649 0.9009 0.6549
77 O 0.8722 0.1829 0.4445
78 O 0.8722 0.3171 0.4445
79 O 0.8947 0.0599 0.5480
80 O 0.8947 0.4401 0.5480
81 O 0.9435 0.6093 0.1527
82 O 0.9435 0.8907 0.1527

=====

# 6
This record from the Materials Project describes MnO2 after structural relaxation. The functional is PBE+U.

## Properties
For the total magnetic moment, the calculation gives 3.00 μB/cell. For the raw total energy, the calculation gives -20.150 eV for the cell shown. The formation energy comes out at -1.38 eV per atom.

Lattice parameters (Å, degrees): 2.9210 2.9210 3.7053 90.00 90.00 90.00
Sites, in units of the cell vectors:
1 Mn 0.0000 0.0000 0.0000
2 O 0.0000 0.0000 0.5000
3 O 0.5000 0.5000 0.0000